# 1
{
  "formula": "Sr2TlBr5",
  "functional": "PBE-GGA",
  "state": "relaxed",
  "spacegroup": "No. 14",
  "cell": [[8.5101, 0.0000, 0.0000], [0.0000, 9.4417, 0.0000], [0.0000, 0.0066, 13.5119]],
  "species": ["Sr", "Sr", "Sr", "Sr", "Sr", "Sr", "Sr", "Sr", "Tl", "Tl", "Tl", "Tl", "Br", "Br", "Br", "Br", "Br", "Br", "Br", "Br", "Br", "Br", "Br", "Br", "Br", "Br", "Br", "Br", "Br", "Br", "Br", "Br"],
  "fractional_positions": [[0.4770, 0.9998, 0.8210], [0.5230, 0.0002, 0.1790], [0.9770, 0.0002, 0.6790], [0.0230, 0.9998, 0.3210], [0.4249, 0.7516, 0.5068], [0.5751, 0.2484, 0.4932], [0.9249, 0.2484, 0.9932], [0.0751, 0.7516, 0.0068], [0.4852, 0.5088, 0.8220], [0.5148, 0.4912, 0.1780], [0.9852, 0.4912, 0.6780], [0.0148, 0.5088, 0.3220], [0.3379, 0.4627, 0.5899], [0.6621, 0.5373, 0.4101], [0.8379, 0.5373, 0.9101], [0.1621, 0.4627, 0.0899], [0.6620, 0.7815, 0.6845], [0.3380, 0.2185, 0.3155], [0.1620, 0.2185, 0.8155], [0.8380, 0.7815, 0.1845], [0.1944, 0.7738, 0.7835], [0.8056, 0.2262, 0.2165], [0.6944, 0.2262, 0.7165], [0.3056, 0.7738, 0.2835], [0.0450, 0.7833, 0.5028], [0.9550, 0.2167, 0.4972], [0.5450, 0.2167, 0.9972], [0.4550, 0.7833, 0.0028], [0.8387, 0.9578, 0.9012], [0.1613, 0.0422, 0.0988], [0.3387, 0.0422, 0.5988], [0.6613, 0.9578, 0.4012]]
}



# 2
{
  "formula": "Ta3Br7",
  "functional": "PBE-GGA",
  "state": "relaxed",
  "e_above_lowest_polymorph_ev_per_atom": 0.007,
  "spacegroup": "No. 64",
  "magnetic_moment_mub_per_atom": 0.00,
  "cell": [[-3.8890, -2.0012, 8.9666], [-0.5175, -9.5748, -2.7540], [10.8930, -1.8302, 4.3161]],
  "species": ["Ta", "Ta", "Ta", "Ta", "Ta", "Ta", "Ta", "Ta", "Ta", "Ta", "Ta", "Ta", "Br", "Br", "Br", "Br", "Br", "Br", "Br", "Br", "Br", "Br", "Br", "Br", "Br", "Br", "Br", "Br", "Br", "Br", "Br", "Br", "Br", "Br", "Br", "Br", "Br", "Br", "Br", "Br"],
  "fractional_positions": [[0.1599, 0.9523, 0.6068], [0.0477, 0.8401, 0.3932], [0.5477, 0.3401, 0.1068], [0.6599, 0.4523, 0.8932], [0.8401, 0.0477, 0.3932], [0.9523, 0.1599, 0.6068], [0.4523, 0.6599, 0.8932], [0.3401, 0.5477, 0.1068], [0.8810, 0.8810, 0.5853], [0.1190, 0.1190, 0.4147], [0.6190, 0.6190, 0.0853], [0.3810, 0.3810, 0.9147], [0.1378, 0.1378, 0.7628], [0.8622, 0.8622, 0.2372], [0.3622, 0.3622, 0.2628], [0.6378, 0.6378, 0.7372], [0.2522, 0.7478, 0.5000], [0.7522, 0.2478, 0.0000], [0.7478, 0.2522, 0.5000], [0.2478, 0.7522, 0.0000], [0.0308, 0.7849, 0.7428], [0.2151, 0.9692, 0.2572], [0.7151, 0.4692, 0.2428], [0.5308, 0.2849, 0.7572], [0.9692, 0.2151, 0.2572], [0.7849, 0.0308, 0.7428], [0.2849, 0.5308, 0.7572], [0.4692, 0.7151, 0.2428], [0.3514, 0.1050, 0.5136], [0.8950, 0.6486, 0.4864], [0.3950, 0.1486, 0.0136], [0.8514, 0.6050, 0.9864], [0.6486, 0.8950, 0.4864], [0.1050, 0.3514, 0.5136], [0.6050, 0.8514, 0.9864], [0.1486, 0.3950, 0.0136], [0.3865, 0.8865, 0.7500], [0.1135, 0.6135, 0.2500], [0.6135, 0.1135, 0.2500], [0.8865, 0.3865, 0.7500]]
}



# 3
{
  "formula": "Ta3Br7",
  "functional": "PBE-GGA",
  "state": "relaxed",
  "e_above_lowest_polymorph_ev_per_atom": 0.000,
  "spacegroup": "No. 64",
  "cell": [[7.1079, -7.4867, 0.0000], [7.1079, 7.4867, 0.0000], [0.0000, 0.0000, 11.9413]],
  "species": ["Ta", "Ta", "Ta", "Ta", "Ta", "Ta", "Ta", "Ta", "Ta", "Ta", "Ta", "Ta", "Br", "Br", "Br", "Br", "Br", "Br", "Br", "Br", "Br", "Br", "Br", "Br", "Br", "Br", "Br", "Br", "Br", "Br", "Br", "Br", "Br", "Br", "Br", "Br", "Br", "Br", "Br", "Br"],
  "fractional_positions": [[0.6110, 0.3890, 0.9207], [0.8890, 0.1110, 0.4207], [0.1110, 0.8890, 0.5793], [0.3890, 0.6110, 0.0793], [0.4439, 0.3453, 0.1087], [0.0561, 0.1547, 0.6087], [0.1547, 0.0561, 0.3913], [0.3453, 0.4439, 0.8913], [0.5561, 0.6547, 0.8913], [0.9439, 0.8453, 0.3913], [0.8453, 0.9439, 0.6087], [0.6547, 0.5561, 0.1087], [0.3730, 0.1270, 0.2500], [0.1270, 0.3730, 0.7500], [0.6270, 0.8730, 0.7500], [0.8730, 0.6270, 0.2500], [0.5857, 0.1644, 0.0207], [0.9143, 0.3356, 0.5207], [0.3356, 0.9143, 0.4793], [0.1644, 0.5857, 0.9793], [0.4143, 0.8356, 0.9793], [0.0857, 0.6644, 0.4793], [0.6644, 0.0857, 0.5207], [0.8356, 0.4143, 0.0207], [0.6209, 0.3791, 0.2652], [0.8791, 0.1209, 0.7652], [0.1209, 0.8791, 0.2348], [0.3791, 0.6209, 0.7348], [0.7558, 0.7558, 0.0000], [0.7442, 0.7442, 0.5000], [0.2442, 0.2442, 0.0000], [0.2558, 0.2558, 0.5000], [0.5316, 0.7156, 0.2385], [0.9684, 0.7844, 0.7385], [0.7844, 0.9684, 0.2615], [0.7156, 0.5316, 0.7615], [0.4684, 0.2844, 0.7615], [0.0316, 0.2156, 0.2615], [0.2156, 0.0316, 0.7385], [0.2844, 0.4684, 0.2385]]
}



# 4
{
  "formula": "TaBr5",
  "functional": "PBE-GGA",
  "state": "relaxed",
  "spacegroup": "No. 62",
  "cell": [[-4.8563, 1.5755, 4.3694], [1.9767, -12.2649, 6.6195], [13.2527, 8.4425, 11.6852]],
  "species": ["Ta", "Ta", "Ta", "Ta", "Ta", "Ta", "Ta", "Ta", "Br", "Br", "Br", "Br", "Br", "Br", "Br", "Br", "Br", "Br", "Br", "Br", "Br", "Br", "Br", "Br", "Br", "Br", "Br", "Br", "Br", "Br", "Br", "Br", "Br", "Br", "Br", "Br", "Br", "Br", "Br", "Br", "Br", "Br", "Br", "Br", "Br", "Br", "Br", "Br"],
  "fractional_positions": [[0.9925, 0.1250, 0.1420], [0.9925, 0.1250, 0.3580], [0.5075, 0.6250, 0.1420], [0.4925, 0.3750, 0.8580], [0.4925, 0.3750, 0.6420], [0.5075, 0.6250, 0.3580], [0.0075, 0.8750, 0.6420], [0.0075, 0.8750, 0.8580], [0.2217, 0.7315, 0.8474], [0.2225, 0.2035, 0.4361], [0.7391, 0.5465, 0.4355], [0.7023, 0.3039, 0.7500], [0.7924, 0.0183, 0.8478], [0.7217, 0.7685, 0.3474], [0.2158, 0.9465, 0.7500], [0.2023, 0.1961, 0.2500], [0.2783, 0.2315, 0.8474], [0.2225, 0.2035, 0.0639], [0.2076, 0.9817, 0.1522], [0.2391, 0.9535, 0.5645], [0.7225, 0.2965, 0.9361], [0.2609, 0.4535, 0.5645], [0.2775, 0.7035, 0.0639], [0.7225, 0.2965, 0.5639], [0.7076, 0.5183, 0.8478], [0.7775, 0.7965, 0.9361], [0.7076, 0.5183, 0.6522], [0.7391, 0.5465, 0.0645], [0.2977, 0.6961, 0.2500], [0.7775, 0.7965, 0.5639], [0.7609, 0.0465, 0.4355], [0.7977, 0.8039, 0.7500], [0.2609, 0.4535, 0.9355], [0.7217, 0.7685, 0.1526], [0.7609, 0.0465, 0.0645], [0.2924, 0.4817, 0.1522], [0.7783, 0.2685, 0.3474], [0.2391, 0.9535, 0.9355], [0.2842, 0.4465, 0.7500], [0.7158, 0.5535, 0.2500], [0.2783, 0.2315, 0.6526], [0.2076, 0.9817, 0.3478], [0.7924, 0.0183, 0.6522], [0.2924, 0.4817, 0.3478], [0.7842, 0.0535, 0.2500], [0.7783, 0.2685, 0.1526], [0.2775, 0.7035, 0.4361], [0.2217, 0.7315, 0.6526]]
}



# 5
{
  "formula": "TaBr5",
  "functional": "PBE-GGA",
  "state": "relaxed",
  "spacegroup": "No. 12",
  "cell": [[-13.8110, 4.1654, 0.6474], [-4.9616, -12.9511, 4.0208], [0.7123, 1.6587, 6.5477]],
  "species": ["Ta", "Ta", "Ta", "Ta", "Ta", "Ta", "Br", "Br", "Br", "Br", "Br", "Br", "Br", "Br", "Br", "Br", "Br", "Br", "Br", "Br", "Br", "Br", "Br", "Br", "Br", "Br", "Br", "Br", "Br", "Br", "Br", "Br", "Br", "Br", "Br", "Br"],
  "fractional_positions": [[0.6082, 0.3918, 0.5000], [0.3918, 0.6082, 0.5000], [0.2749, 0.0586, 0.0211], [0.0586, 0.2749, 0.0211], [0.7251, 0.9414, 0.9789], [0.9414, 0.7251, 0.9789], [0.1192, 0.1192, 0.8182], [0.8808, 0.8808, 0.1818], [0.2997, 0.9288, 0.7944], [0.9288, 0.2997, 0.7944], [0.7003, 0.0712, 0.2056], [0.0712, 0.7003, 0.2056], [0.1701, 0.9738, 0.2404], [0.9738, 0.1701, 0.2404], [0.8299, 0.0262, 0.7596], [0.0262, 0.8299, 0.7596], [0.4050, 0.0338, 0.2469], [0.0338, 0.4050, 0.2469], [0.5950, 0.9662, 0.7531], [0.9662, 0.5950, 0.7531], [0.2142, 0.2142, 0.2246], [0.7858, 0.7858, 0.7754], [0.5035, 0.3078, 0.2901], [0.3078, 0.5035, 0.2901], [0.4965, 0.6922, 0.7099], [0.6922, 0.4965, 0.7099], [0.3595, 0.1639, 0.8025], [0.1639, 0.3595, 0.8025], [0.6405, 0.8361, 0.1975], [0.8361, 0.6405, 0.1975], [0.7383, 0.3670, 0.2687], [0.3670, 0.7383, 0.2687], [0.2617, 0.6330, 0.7313], [0.6330, 0.2617, 0.7313], [0.5479, 0.5479, 0.2918], [0.4521, 0.4521, 0.7082]]
}



# 6
{
  "formula": "TaTe2Br6",
  "functional": "PBE-GGA",
  "state": "relaxed",
  "spacegroup": "No. 2",
  "cell": [[7.6679, 0.0000, 0.0000], [1.6624, 7.5782, 0.0000], [2.8197, 1.5583, 13.1059]],
  "species": ["Ta", "Ta", "Te", "Te", "Te", "Te", "Br", "Br", "Br", "Br", "Br", "Br", "Br", "Br", "Br", "Br", "Br", "Br"],
  "fractional_positions": [[0.7986, 0.3425, 0.8052], [0.2014, 0.6575, 0.1948], [0.2716, 0.1596, 0.5409], [0.7284, 0.8404, 0.4591], [0.4336, 0.8254, 0.6135], [0.5664, 0.1746, 0.3865], [0.9034, 0.2473, 0.9685], [0.0966, 0.7527, 0.0315], [0.9738, 0.0469, 0.7288], [0.0262, 0.9531, 0.2712], [0.0808, 0.4708, 0.7267], [0.9192, 0.5292, 0.2733], [0.3006, 0.5632, 0.3780], [0.6994, 0.4368, 0.6220], [0.4665, 0.8095, 0.1435], [0.5335, 0.1905, 0.8565], [0.3751, 0.3671, 0.1454], [0.6249, 0.6329, 0.8546]]
}



The evaluated uncorrected energy for the records listed, in turn: -3.572 -5.590 -5.597 -4.283 -4.283 -3.787 eV/atom.
The evaluated energy with MP2020 corrections for the records listed, in turn: -0.2871 -0.4383 -0.4389 -0.3475 -0.3475 -0.3045 Ry/atom.